Model w:
# Ge

A geometry-optimized Ge structure (GGA-PBE, the Materials Project).

Structure (CIF):
```
data_Ge
_symmetry_space_group_name_H-M 'P 63/m m c'
_symmetry_Int_Tables_number 194
_symmetry_space_group_name_Hall '-P 6c 2c'
_cell_length_a 4.0500
_cell_length_b 4.0500
_cell_length_c 6.6840
_cell_angle_alpha 90.00
_cell_angle_beta 90.00
_cell_angle_gamma 120.00
loop_
_atom_site_label
_atom_site_type_symbol
_atom_site_fract_x
_atom_site_fract_y
_atom_site_fract_z
_atom_site_occupancy
Ge1 Ge 0.3333 0.6667 0.0629 1
```

Model x:
# Ge

A geometry-optimized Ge structure (GGA-PBE, the Materials Project).

Structure (CIF):
```
data_Ge
_symmetry_space_group_name_H-M 'I 41/a m d'
_symmetry_Int_Tables_number 141
_cell_length_a 5.182
_cell_length_b 5.182
_cell_length_c 2.874
_cell_angle_alpha 90.00
_cell_angle_beta 90.00
_cell_angle_gamma 90.00
loop_
_symmetry_equiv_pos_as_xyz
'x,y,z'
'-x,-y,-z'
'-y+1/4,x+3/4,z+1/4'
'y+1/4,-x+3/4,-z+1/4'
'-x+1/2,-y,z+1/2'
'x+1/2,y,-z+1/2'
'y+1/4,-x+1/4,z+3/4'
'-y+1/4,x+1/4,-z+3/4'
'x,-y,-z'
'-x,y,z'
'-y+1/4,-x+1/4,-z+3/4'
'y+1/4,x+1/4,z+3/4'
'-x+1/2,y,-z+1/2'
'x+1/2,-y,z+1/2'
'y+1/4,x+3/4,-z+1/4'
'-y+1/4,-x+3/4,z+1/4'
'x+1/2,y+1/2,z+1/2'
'-x+1/2,-y+1/2,-z+1/2'
'-y+3/4,x+1/4,z+3/4'
'y+3/4,-x+1/4,-z+3/4'
'-x,-y+1/2,z'
'x,y+1/2,-z'
'y+3/4,-x+3/4,z+1/4'
'-y+3/4,x+3/4,-z+1/4'
'x+1/2,-y+1/2,-z+1/2'
'-x+1/2,y+1/2,z+1/2'
'-y+3/4,-x+3/4,-z+1/4'
'y+3/4,x+3/4,z+1/4'
'-x,y+1/2,-z'
'x,-y+1/2,z'
'y+3/4,x+1/4,-z+3/4'
'-y+3/4,-x+1/4,z+3/4'
loop_
_atom_site_label
_atom_site_type_symbol
_atom_site_fract_x
_atom_site_fract_y
_atom_site_fract_z
_atom_site_occupancy
Ge1 Ge 0.000 0.250 0.375 1
```

M_tot   0.00 μB/f.u.

What should be chosen as the least stable of them? Choose model x.

Model w:
# Dy2TeO6

A geometry-optimized Dy2TeO6 structure (GGA-PBE, the Materials Project).

Structure (CIF):
```
data_Dy2TeO6
_symmetry_space_group_name_H-M 'P 3 2 1'
_symmetry_Int_Tables_number 150
_cell_length_a 9.1821
_cell_length_b 9.1821
_cell_length_c 5.2164
_cell_angle_alpha 90.00
_cell_angle_beta 90.00
_cell_angle_gamma 120.00
loop_
_symmetry_equiv_pos_as_xyz
'x,y,z'
'-y,x-y,z'
'-x+y,-x,z'
'y,x,-z'
'x-y,-y,-z'
'-x,-x+y,-z'
loop_
_atom_site_label
_atom_site_type_symbol
_atom_site_fract_x
_atom_site_fract_y
_atom_site_fract_z
_atom_site_occupancy
Dy1 Dy 0.0000 0.2833 0.0000 1
Dy2 Dy 0.0000 0.6209 0.5000 1
Te1 Te 0.0000 0.0000 0.5000 1
Te2 Te 0.3333 0.6667 0.0040 1
O1 O 0.0793 0.8791 0.2894 1
O2 O 0.1332 0.5430 0.2176 1
O3 O 0.2233 0.7591 0.7902 1
```

Model x:
# Dy2TeO6

A geometry-optimized Dy2TeO6 structure (GGA-PBE, the Materials Project).

Structure (CIF):
```
data_Dy2TeO6
_symmetry_space_group_name_H-M 'P 42/m n m'
_symmetry_Int_Tables_number 136
_symmetry_space_group_name_Hall '-P 4n 2n'
_cell_length_a 4.999
_cell_length_b 4.999
_cell_length_c 10.104
_cell_angle_alpha 90.00
_cell_angle_beta 90.00
_cell_angle_gamma 90.00
loop_
_atom_site_label
_atom_site_type_symbol
_atom_site_fract_x
_atom_site_fract_y
_atom_site_fract_z
_atom_site_occupancy
Dy1 Dy 0.000 0.000 0.165 1
Te1 Te 0.000 0.000 0.500 1
O1 O 0.183 0.183 0.354 1
O2 O 0.222 0.222 0.000 1
```

M_tot   0.00 μB/f.u.

What should be chosen as the least stable of them? Choose model x.

Model w:
# TeMoWSeS2

A geometry-optimized TeMoWSeS2 structure (GGA-PBE, the Materials Project).

Structure (CIF):
```
data_TeMoWSeS2
_symmetry_space_group_name_H-M 'P 3 m 1'
_symmetry_Int_Tables_number 156
_cell_length_a 3.3066
_cell_length_b 3.3066
_cell_length_c 37.6056
_cell_angle_alpha 90.00
_cell_angle_beta 90.00
_cell_angle_gamma 120.00
loop_
_symmetry_equiv_pos_as_xyz
'x,y,z'
'-y,x-y,z'
'-x+y,-x,z'
'-y,-x,z'
'-x+y,y,z'
'x,x-y,z'
loop_
_atom_site_label
_atom_site_type_symbol
_atom_site_fract_x
_atom_site_fract_y
_atom_site_fract_z
_atom_site_occupancy
Te1 Te 0.0000 0.0000 0.0000 1
Te2 Te 0.0000 0.0000 0.1016 1
Mo1 Mo 0.0000 0.0000 0.2387 1
Mo2 Mo 0.6667 0.3333 0.0508 1
W1 W 0.0000 0.0000 0.6144 1
W2 W 0.6667 0.3333 0.4265 1
Se1 Se 0.0000 0.0000 0.3817 1
Se2 Se 0.0000 0.0000 0.4714 1
S1 S 0.6667 0.3333 0.1981 1
S2 S 0.6667 0.3333 0.2793 1
S3 S 0.6667 0.3333 0.5737 1
S4 S 0.6667 0.3333 0.6552 1
```

M_tot   0.00 μB/f.u.

Model x:
# TeMoWSeS2

A geometry-optimized TeMoWSeS2 structure (GGA-PBE, the Materials Project).

Structure (CIF):
```
data_TeMoWSeS2
_symmetry_space_group_name_H-M 'P 3 m 1'
_symmetry_Int_Tables_number 156
_cell_length_a 3.3050
_cell_length_b 3.3050
_cell_length_c 38.7270
_cell_angle_alpha 90.00
_cell_angle_beta 90.00
_cell_angle_gamma 120.00
loop_
_symmetry_equiv_pos_as_xyz
'x,y,z'
'-y,x-y,z'
'-x+y,-x,z'
'-y,-x,z'
'-x+y,y,z'
'x,x-y,z'
loop_
_atom_site_label
_atom_site_type_symbol
_atom_site_fract_x
_atom_site_fract_y
_atom_site_fract_z
_atom_site_occupancy
Te1 Te 0.0000 0.0000 0.0000 1
Te2 Te 0.0000 0.0000 0.0989 1
Mo1 Mo 0.0000 0.0000 0.8603 1
Mo2 Mo 0.3333 0.6667 0.0494 1
W1 W 0.0000 0.0000 0.2373 1
W2 W 0.3333 0.6667 0.4249 1
Se1 Se 0.3333 0.6667 0.8169 1
Se2 Se 0.3333 0.6667 0.9038 1
S1 S 0.0000 0.0000 0.3852 1
S2 S 0.0000 0.0000 0.4645 1
S3 S 0.3333 0.6667 0.1977 1
S4 S 0.3333 0.6667 0.2770 1
```

M_tot   0.00 μB/f.u.

What should be chosen as the least stable of them? Choose model w.

Model w:
# Sr

A geometry-optimized Sr structure (GGA-PBE, the Materials Project).

Structure (CIF):
```
data_Sr
_symmetry_space_group_name_H-M 'I 41/a m d'
_symmetry_Int_Tables_number 141
_cell_length_a 7.452
_cell_length_b 7.452
_cell_length_c 3.999
_cell_angle_alpha 90.00
_cell_angle_beta 90.00
_cell_angle_gamma 90.00
loop_
_symmetry_equiv_pos_as_xyz
'x,y,z'
'-x,-y,-z'
'-y+1/4,x+3/4,z+1/4'
'y+1/4,-x+3/4,-z+1/4'
'-x+1/2,-y,z+1/2'
'x+1/2,y,-z+1/2'
'y+1/4,-x+1/4,z+3/4'
'-y+1/4,x+1/4,-z+3/4'
'x,-y,-z'
'-x,y,z'
'-y+1/4,-x+1/4,-z+3/4'
'y+1/4,x+1/4,z+3/4'
'-x+1/2,y,-z+1/2'
'x+1/2,-y,z+1/2'
'y+1/4,x+3/4,-z+1/4'
'-y+1/4,-x+3/4,z+1/4'
'x+1/2,y+1/2,z+1/2'
'-x+1/2,-y+1/2,-z+1/2'
'-y+3/4,x+1/4,z+3/4'
'y+3/4,-x+1/4,-z+3/4'
'-x,-y+1/2,z'
'x,y+1/2,-z'
'y+3/4,-x+3/4,z+1/4'
'-y+3/4,x+3/4,-z+1/4'
'x+1/2,-y+1/2,-z+1/2'
'-x+1/2,y+1/2,z+1/2'
'-y+3/4,-x+3/4,-z+1/4'
'y+3/4,x+3/4,z+1/4'
'-x,y+1/2,-z'
'x,-y+1/2,z'
'y+3/4,x+1/4,-z+3/4'
'-y+3/4,-x+1/4,z+3/4'
loop_
_atom_site_label
_atom_site_type_symbol
_atom_site_fract_x
_atom_site_fract_y
_atom_site_fract_z
_atom_site_occupancy
Sr1 Sr 0.000 0.250 0.375 1
```

M_tot   0.28 μB/f.u.

Model x:
# Sr

A geometry-optimized Sr structure (GGA-PBE, the Materials Project).

Structure (CIF):
```
data_Sr
_symmetry_space_group_name_H-M 'I 4/m c m'
_symmetry_Int_Tables_number 140
_symmetry_space_group_name_Hall '-I 4 2c'
_cell_length_a 8.071
_cell_length_b 8.071
_cell_length_c 7.142
_cell_angle_alpha 90.00
_cell_angle_beta 90.00
_cell_angle_gamma 90.00
loop_
_atom_site_label
_atom_site_type_symbol
_atom_site_fract_x
_atom_site_fract_y
_atom_site_fract_z
_atom_site_occupancy
Sr1 Sr 0.170 0.330 0.000 1
```

What should be chosen as the least stable of them? Choose model w.

Model w:
# LiZnSb4O8

A geometry-optimized LiZnSb4O8 structure (GGA-PBE, the Materials Project).

Structure (CIF):
```
data_LiZnSb4O8
_symmetry_space_group_name_H-M 'P 1'
_symmetry_Int_Tables_number 1
_cell_length_a 3.553
_cell_length_b 7.893
_cell_length_c 8.538
_cell_angle_alpha 68.52
_cell_angle_beta 78.03
_cell_angle_gamma 89.94
loop_
_symmetry_equiv_pos_as_xyz
'x,y,z'
loop_
_atom_site_label
_atom_site_type_symbol
_atom_site_fract_x
_atom_site_fract_y
_atom_site_fract_z
_atom_site_occupancy
Li1 Li 0.000 0.000 0.000 1
Zn1 Zn 0.023 0.641 0.057 1
Sb1 Sb 0.372 0.670 0.372 1
Sb2 Sb 0.446 0.246 0.683 1
Sb3 Sb 0.487 0.280 0.118 1
Sb4 Sb 0.810 0.830 0.686 1
O1 O 0.047 0.403 0.998 1
O2 O 0.133 0.867 0.847 1
O3 O 0.302 0.843 0.498 1
O4 O 0.463 0.531 0.169 1
O5 O 0.578 0.163 0.922 1
O6 O 0.754 0.499 0.518 1
O7 O 0.814 0.104 0.580 1
O8 O 0.906 0.797 0.226 1
```

M_tot   0.00 μB/f.u.

Model x:
# LiZnSb4O8

A geometry-optimized LiZnSb4O8 structure (GGA-PBE, the Materials Project).

Structure (CIF):
```
data_LiZnSb4O8
_symmetry_space_group_name_H-M 'P 1'
_symmetry_Int_Tables_number 1
_cell_length_a 3.417
_cell_length_b 6.653
_cell_length_c 9.536
_cell_angle_alpha 74.90
_cell_angle_beta 84.11
_cell_angle_gamma 83.69
loop_
_symmetry_equiv_pos_as_xyz
'x,y,z'
loop_
_atom_site_label
_atom_site_type_symbol
_atom_site_fract_x
_atom_site_fract_y
_atom_site_fract_z
_atom_site_occupancy
Li1 Li 0.000 0.000 0.000 1
Zn1 Zn 0.867 0.574 0.551 1
Sb1 Sb 0.061 0.009 0.308 1
Sb2 Sb 0.279 0.502 0.846 1
Sb3 Sb 0.433 0.103 0.624 1
Sb4 Sb 0.568 0.612 0.184 1
O1 O 0.051 0.691 0.341 1
O2 O 0.130 0.664 0.030 1
O3 O 0.382 0.425 0.636 1
O4 O 0.506 0.935 0.454 1
O5 O 0.522 0.924 0.138 1
O6 O 0.830 0.691 0.739 1
O7 O 0.863 0.301 0.920 1
O8 O 0.940 0.212 0.507 1
```

M_tot   0.00 μB/f.u.

What should be chosen as the least stable of them? Choose model w.

Model w:
# Rb2TiGe3O9

A geometry-optimized Rb2TiGe3O9 structure (GGA-PBE, the Materials Project).

Structure (CIF):
```
data_Rb2TiGe3O9
_symmetry_space_group_name_H-M 'P -3 c 1'
_symmetry_Int_Tables_number 165
_symmetry_space_group_name_Hall '-P 3 2"c'
_cell_length_a 12.2885
_cell_length_b 12.2885
_cell_length_c 10.7101
_cell_angle_alpha 90.00
_cell_angle_beta 90.00
_cell_angle_gamma 120.00
loop_
_atom_site_label
_atom_site_type_symbol
_atom_site_fract_x
_atom_site_fract_y
_atom_site_fract_z
_atom_site_occupancy
Rb1 Rb 0.0048 0.3591 0.4764 1
Ti1 Ti 0.0000 0.0000 0.0000 1
Ti2 Ti 0.3333 0.6667 0.4972 1
Ge1 Ge 0.0000 0.1771 0.2500 1
Ge2 Ge 0.1672 0.4529 0.7426 1
O1 O 0.0000 0.3825 0.7500 1
O2 O 0.0548 0.1476 0.3890 1
O3 O 0.1272 0.3333 0.2084 1
O4 O 0.1992 0.5465 0.6086 1
O5 O 0.2264 0.5176 0.8892 1
```

M_tot   0.00 μB/f.u.

Model x:
# Rb2TiGe3O9

A geometry-optimized Rb2TiGe3O9 structure (GGA-PBE, the Materials Project).

Structure (CIF):
```
data_Rb2TiGe3O9
_symmetry_space_group_name_H-M 'P -3 c 1'
_symmetry_Int_Tables_number 165
_symmetry_space_group_name_Hall '-P 3 2"c'
_cell_length_a 12.4605
_cell_length_b 12.4605
_cell_length_c 10.2862
_cell_angle_alpha 90.00
_cell_angle_beta 90.00
_cell_angle_gamma 120.00
loop_
_atom_site_label
_atom_site_type_symbol
_atom_site_fract_x
_atom_site_fract_y
_atom_site_fract_z
_atom_site_occupancy
Rb1 Rb 0.0031 0.3372 0.4306 1
Ti1 Ti 0.0000 0.0000 0.0000 1
Ti2 Ti 0.3333 0.6667 0.4714 1
Ge1 Ge 0.0000 0.1798 0.7500 1
Ge2 Ge 0.1470 0.4794 0.7219 1
O1 O 0.0000 0.4704 0.7500 1
O2 O 0.0675 0.1486 0.8840 1
O3 O 0.1150 0.3254 0.6776 1
O4 O 0.1883 0.5678 0.5798 1
O5 O 0.2396 0.5168 0.8595 1
```

M_tot   0.00 μB/f.u.

What should be chosen as the least stable of them? Choose model w.